Entry from the Materials Project: crystalline NiS2 at its relaxed geometry (GGA-PBE).

Output
- formation energy from the elements (eV per atom) = -0.55
- electronic total energy (eV/atom) = -4.8974
- theoretical density (g/cm³) = 3.8
- energy with MP2020 corrections (eV for the cell shown) = -62.793

a = 6.6947 Å, b = 6.6947 Å, c = 6.6947 Å
α = 60.00°, β = 60.00°, γ = 60.00°
Closest atoms and distances in Å follow each position.
Element x y z (fractional)
Ni  0.0000  0.0000  0.0000  6 S 2.26
Ni  0.0000  0.0000  0.5000  6 S 2.26
Ni  0.0000  0.5000  0.0000  6 S 2.26
Ni  0.5000  0.0000  0.0000  6 S 2.26
S  0.2138  0.7621  0.7621  3 Ni 2.26
S  0.2379  0.2379  0.2379  3 Ni 2.26
S  0.2379  0.2379  0.7862  3 Ni 2.26
S  0.2379  0.7862  0.2379  3 Ni 2.26
S  0.7621  0.2138  0.7621  3 Ni 2.26
S  0.7621  0.7621  0.2138  3 Ni 2.26
S  0.7621  0.7621  0.7621  3 Ni 2.26
S  0.7862  0.2379  0.2379  3 Ni 2.26